(1)
A plane-wave DFT calculation with meta-GGA r2SCAN was carried out for an optimized crystal structure of Yb2Al2O5.

a b c (Å): 3.6655 3.6655 6.9106
angles (deg): 90.00 90.00 90.00
With the nearest neighbours (Å) after each atom.
Sites, in units of the cell vectors:
Yb  0.0000  0.0000  0.0000  8 O 2.48
Yb  0.0000  0.0000  0.5000  12 O 2.56-2.59
Al  0.5000  0.5000  0.2303  5 O 1.83-1.86
Al  0.5000  0.5000  0.7697  5 O 1.83-1.86
O  0.0000  0.5000  0.2410  2 Al 1.83
O  0.0000  0.5000  0.7590  2 Al 1.83
O  0.5000  0.0000  0.2410  2 Al 1.83
O  0.5000  0.0000  0.7590  2 Al 1.83
O  0.5000  0.5000  0.5000  2 Al 1.86

Calculated values
ρ in g/cm³: 8.59
Total energy in Ry per atom: -1.18512
Space group: P4/mmm (123)

***

(2)
A plane-wave DFT calculation with meta-GGA r2SCAN was carried out for an optimized crystal structure of Al2Os.

a b c (Å): 4.7129 4.7129 4.7129
angles (deg): 140.88 140.88 56.51
With the nearest neighbours (Å) after each atom.
Sites, in units of the cell vectors:
Al  0.1613  0.1613  0.0000  5 Os 2.60-2.81, 5 Al 2.67-2.68
Al  0.8387  0.8387  0.0000  5 Os 2.60-2.81, 5 Al 2.67-2.68
Os  0.5000  0.5000  0.0000  10 Al 2.60-2.81

Calculated values
ρ in g/cm³: 9.81
Total energy in Ry per atom: -1.67725
Space group: I4/mmm (139)

***

(3)
A plane-wave DFT calculation with meta-GGA r2SCAN was carried out for an optimized crystal structure of AlOs.

a b c (Å): 2.9979 2.9979 2.9979
angles (deg): 90.00 90.00 90.00
With the nearest neighbours (Å) after each atom.
Sites, in units of the cell vectors:
Al  0.0000  0.0000  0.0000  8 Os 2.60
Os  0.5000  0.5000  0.5000  8 Al 2.60

Calculated values
ρ in g/cm³: 13.39
Total energy in Ry per atom: -2.23060
Space group: Pm-3m (221)

***

(4)
A plane-wave DFT calculation with meta-GGA r2SCAN was carried out for an optimized crystal structure of PrAl10Os2.

a b c (Å): 6.8565 6.8565 9.1576
angles (deg): 90.00 90.00 96.77
With the nearest neighbours (Å) after each atom.
Sites, in units of the cell vectors:
Pr  0.1248  0.8752  0.7500  14 Al 3.17-3.34, 4 Os 3.47
Pr  0.8752  0.1248  0.2500  14 Al 3.17-3.34, 4 Os 3.47
Al  0.1414  0.4097  0.7500  2 Os 2.59, 8 Al 2.66-2.87
Al  0.1617  0.8383  0.1022  8 Al 2.61-2.87, 2 Os 2.62
Al  0.1617  0.8383  0.3978  8 Al 2.61-2.87, 2 Os 2.62
Al  0.2190  0.4831  0.2500  7 Al 2.66-2.89, 2 Os 2.75
Al  0.2278  0.2278  0.0000  2 Os 2.57, 6 Al 2.71-2.82
Al  0.2278  0.2278  0.5000  2 Os 2.57, 6 Al 2.71-2.82
Al  0.3774  0.6226  0.5495  6 Al 2.61-2.82, 2 Os 2.66
Al  0.3774  0.6226  0.9505  6 Al 2.61-2.82, 2 Os 2.66
Al  0.4097  0.1414  0.2500  2 Os 2.59, 8 Al 2.66-2.87
Al  0.4831  0.2190  0.7500  7 Al 2.66-2.89, 2 Os 2.75
Al  0.5169  0.7810  0.2500  7 Al 2.66-2.89, 2 Os 2.75
Al  0.5903  0.8586  0.7500  2 Os 2.59, 8 Al 2.66-2.87
Al  0.6226  0.3774  0.0495  6 Al 2.61-2.82, 2 Os 2.66
Al  0.6226  0.3774  0.4505  6 Al 2.61-2.82, 2 Os 2.66
Al  0.7722  0.7722  0.0000  2 Os 2.57, 6 Al 2.71-2.82
Al  0.7722  0.7722  0.5000  2 Os 2.57, 6 Al 2.71-2.82
Al  0.7810  0.5169  0.7500  7 Al 2.66-2.89, 2 Os 2.75
Al  0.8383  0.1617  0.6022  8 Al 2.61-2.87, 2 Os 2.62
Al  0.8383  0.1617  0.8978  8 Al 2.61-2.87, 2 Os 2.62
Al  0.8586  0.5903  0.2500  2 Os 2.59, 8 Al 2.66-2.87
Os  0.0000  0.5000  0.0000  10 Al 2.57-2.75
Os  0.0000  0.5000  0.5000  10 Al 2.57-2.75
Os  0.5000  0.0000  0.0000  10 Al 2.57-2.75
Os  0.5000  0.0000  0.5000  10 Al 2.57-2.75

Calculated values
ρ in g/cm³: 6.15
Total energy in Ry per atom: -1.18432
Space group: Cmcm (63)

***

(5)
A plane-wave DFT calculation with meta-GGA r2SCAN was carried out for an optimized crystal structure of Sc6Al16Os7.

a b c (Å): 8.7236 8.7236 8.7236
angles (deg): 60.00 60.00 60.00
With the nearest neighbours (Å) after each atom.
Sites, in units of the cell vectors:
Sc  0.2142  0.2142  0.7858  8 Al 2.92-2.93, 4 Os 3.12
Sc  0.2142  0.7858  0.2142  8 Al 2.92-2.93, 4 Os 3.12
Sc  0.2142  0.7858  0.7858  8 Al 2.92-2.93, 4 Os 3.12
Sc  0.7858  0.2142  0.2142  8 Al 2.92-2.93, 4 Os 3.12
Sc  0.7858  0.2142  0.7858  8 Al 2.92-2.93, 4 Os 3.12
Sc  0.7858  0.7858  0.2142  8 Al 2.92-2.93, 4 Os 3.12
Al  0.1364  0.6212  0.6212  4 Os 2.59-2.70, 3 Al 2.76
Al  0.1634  0.1634  0.1634  3 Os 2.52, 3 Al 2.76
Al  0.1634  0.1634  0.5099  3 Os 2.52, 3 Al 2.76
Al  0.1634  0.5099  0.1634  3 Os 2.52, 3 Al 2.76
Al  0.3788  0.3788  0.3788  4 Os 2.59-2.70, 3 Al 2.76
Al  0.3788  0.3788  0.8636  4 Os 2.59-2.70, 3 Al 2.76
Al  0.3788  0.8636  0.3788  4 Os 2.59-2.70, 3 Al 2.76
Al  0.4901  0.8366  0.8366  3 Os 2.52, 3 Al 2.76
Al  0.5099  0.1634  0.1634  3 Os 2.52, 3 Al 2.76
Al  0.6212  0.1364  0.6212  4 Os 2.59-2.70, 3 Al 2.76
Al  0.6212  0.6212  0.1364  4 Os 2.59-2.70, 3 Al 2.76
Al  0.6212  0.6212  0.6212  4 Os 2.59-2.70, 3 Al 2.76
Al  0.8366  0.4901  0.8366  3 Os 2.52, 3 Al 2.76
Al  0.8366  0.8366  0.4901  3 Os 2.52, 3 Al 2.76
Al  0.8366  0.8366  0.8366  3 Os 2.52, 3 Al 2.76
Al  0.8636  0.3788  0.3788  4 Os 2.59-2.70, 3 Al 2.76
Os  0.0000  0.0000  0.5000  8 Al 2.52-2.70
Os  0.0000  0.5000  0.0000  8 Al 2.52-2.70
Os  0.0000  0.5000  0.5000  8 Al 2.52-2.70
Os  0.5000  0.0000  0.0000  8 Al 2.52-2.70
Os  0.5000  0.0000  0.5000  8 Al 2.52-2.70
Os  0.5000  0.5000  0.0000  8 Al 2.52-2.70
Os  0.5000  0.5000  0.5000  8 Al 2.59

Calculated values
ρ in g/cm³: 7.19
Total energy in Ry per atom: -1.43667
Space group: Fm-3m (225)

***

(6)
A plane-wave DFT calculation with meta-GGA r2SCAN was carried out for an optimized crystal structure of Tb3Al12Os4.

a b c (Å): 8.7876 8.7876 9.5271
angles (deg): 90.00 90.00 120.00
With the nearest neighbours (Å) after each atom.
Sites, in units of the cell vectors:
Tb  0.1927  0.3854  0.2500  11 Al 2.93-3.20
Tb  0.1927  0.8073  0.2500  11 Al 2.93-3.20
Tb  0.3854  0.1927  0.7500  11 Al 2.93-3.20
Tb  0.6146  0.8073  0.2500  11 Al 2.93-3.20
Tb  0.8073  0.1927  0.7500  11 Al 2.93-3.20
Tb  0.8073  0.6146  0.7500  11 Al 2.93-3.20
Al  0.0000  0.0000  0.2500  2 Os 2.38
Al  0.0000  0.0000  0.7500  2 Os 2.38
Al  0.1229  0.5615  0.7500  2 Os 2.56, 6 Al 2.77-2.81
Al  0.1632  0.3264  0.5753  3 Os 2.59-2.66, 5 Al 2.72-2.87
Al  0.1632  0.3264  0.9247  3 Os 2.59-2.66, 5 Al 2.72-2.87
Al  0.1632  0.8368  0.5753  3 Os 2.59-2.66, 5 Al 2.72-2.87
Al  0.1632  0.8368  0.9247  3 Os 2.59-2.66, 5 Al 2.72-2.87
Al  0.3264  0.1632  0.0753  3 Os 2.59-2.66, 5 Al 2.72-2.87
Al  0.3264  0.1632  0.4247  3 Os 2.59-2.66, 5 Al 2.72-2.87
Al  0.3333  0.6667  0.0106  3 Os 2.54, 3 Al 2.72
Al  0.3333  0.6667  0.4894  3 Os 2.54, 3 Al 2.72
Al  0.4385  0.5615  0.7500  2 Os 2.56, 6 Al 2.77-2.81
Al  0.4385  0.8771  0.7500  2 Os 2.56, 6 Al 2.77-2.81
Al  0.5615  0.1229  0.2500  2 Os 2.56, 6 Al 2.77-2.81
Al  0.5615  0.4385  0.2500  2 Os 2.56, 6 Al 2.77-2.81
Al  0.6667  0.3333  0.5106  3 Os 2.54, 3 Al 2.72
Al  0.6667  0.3333  0.9894  3 Os 2.54, 3 Al 2.72
Al  0.6736  0.8368  0.5753  3 Os 2.59-2.66, 5 Al 2.72-2.87
Al  0.6736  0.8368  0.9247  3 Os 2.59-2.66, 5 Al 2.72-2.87
Al  0.8368  0.1632  0.0753  3 Os 2.59-2.66, 5 Al 2.72-2.87
Al  0.8368  0.1632  0.4247  3 Os 2.59-2.66, 5 Al 2.72-2.87
Al  0.8368  0.6736  0.0753  3 Os 2.59-2.66, 5 Al 2.72-2.87
Al  0.8368  0.6736  0.4247  3 Os 2.59-2.66, 5 Al 2.72-2.87
Al  0.8771  0.4385  0.2500  2 Os 2.56, 6 Al 2.77-2.81
Os  0.0000  0.0000  0.0000  8 Al 2.38-2.59
Os  0.0000  0.0000  0.5000  8 Al 2.38-2.59
Os  0.0000  0.5000  0.0000  8 Al 2.54-2.66
Os  0.0000  0.5000  0.5000  8 Al 2.54-2.66
Os  0.5000  0.0000  0.0000  8 Al 2.54-2.66
Os  0.5000  0.0000  0.5000  8 Al 2.54-2.66
Os  0.5000  0.5000  0.0000  8 Al 2.54-2.66
Os  0.5000  0.5000  0.5000  8 Al 2.54-2.66

Calculated values
ρ in g/cm³: 8.14
Total energy in Ry per atom: -1.54511
Space group: P6_3/mmc (194)

***

Number 1 is which compound?
Yb2Al2O5